# SnH6C2S

Crystalline SnH6C2S at its relaxed geometry (PBE, Materials Project).

Lattice parameters (Å, degrees): 10.211 10.211 18.075 90.00 90.00 90.00
Space group P4_32_12 (No. 96)
Symmetry-distinct sites (fractional):
Sn (0.073, 0.073, 0.000) [4 per cell]
Sn (0.090, 0.233, 0.592) [8 per cell]
H (0.006, 0.624, 0.367) [8 per cell]
H (0.008, 0.844, 0.861) [8 per cell]
H (0.040, 0.423, 0.694) [8 per cell]
H (0.040, 0.452, 0.362) [8 per cell]
H (0.051, 0.070, 0.707) [8 per cell]
H (0.065, 0.159, 0.142) [8 per cell]
H (0.107, 0.294, 0.084) [8 per cell]
H (0.110, 0.223, 0.297) [8 per cell]
H (0.175, 0.228, 0.892) [8 per cell]
C (0.047, 0.427, 0.634) [8 per cell]
C (0.081, 0.137, 0.329) [8 per cell]
C (0.124, 0.190, 0.095) [8 per cell]
S (0.106, 0.840, 0.024) [8 per cell]
S (0.237, 0.763, 0.250) [4 per cell]

Calculated values
MP2020-corrected energy	-49.0	eV/f.u.
calculated density	1.91	g cm⁻³
energy relative to the elements	-0.207	eV/atom